(1)
Compound: Sm2Si2Ru
Source: the Materials Project database
Functional: PBE
Structure: relaxed

Computed properties:
Calculated volume = 114.0 Å³/cell
Formation energy = 0.874 eV per atom

Structure (POSCAR):
```
Sm2Si2Ru
1.0
2.854 0.000 0.000
0.000 2.854 0.000
0.000 0.000 13.998
Sm Si Ru
2 2 1
Direct
0.000 0.000 0.124
0.000 0.000 0.876
0.000 0.000 0.335
0.000 0.000 0.665
0.000 0.000 0.500
```

(2)
Compound: SrFe4Sb12
Source: the Materials Project database
Functional: PBE
Structure: relaxed

Computed properties:
Calculated volume = 392.0 Å³/cell
Formation energy = -0.307 eV per atom

Structure (POSCAR):
```
SrFe4Sb12
1.0
-4.610 4.610 4.610
4.610 -4.610 4.610
4.610 4.610 -4.610
Sr Fe Sb
1 4 12
Direct
0.000 0.000 0.000
0.000 0.000 0.500
0.000 0.500 0.000
0.500 0.000 0.000
0.500 0.500 0.500
0.163 0.336 0.499
0.163 0.664 0.827
0.173 0.837 0.336
0.336 0.173 0.837
0.336 0.499 0.163
0.499 0.163 0.336
0.501 0.837 0.664
0.664 0.501 0.837
0.664 0.827 0.163
0.827 0.163 0.664
0.837 0.336 0.173
0.837 0.664 0.501
```

(3)
Compound: BiRh
Source: the Materials Project database
Functional: PBE
Structure: relaxed

Computed properties:
Calculated volume = 86.9 Å³/cell
Formation energy = -0.166 eV per atom

Structure (POSCAR):
```
BiRh
1.0
4.177 0.000 0.000
-2.088 3.617 0.000
0.000 0.000 5.750
Bi Rh
2 2
Direct
0.333 0.667 0.250
0.667 0.333 0.750
0.000 0.000 0.000
0.000 0.000 0.500
```

(4)
Compound: Ce3Hf
Source: the Materials Project database
Functional: PBE
Structure: relaxed

Computed properties:
Calculated volume = 103.3 Å³/cell
Formation energy = 0.102 eV per atom
ΔE to the lowest computed polymorph = 0.000 eV/f.u.

Structure (POSCAR):
```
Ce3Hf
1.0
-2.345 2.345 4.699
2.345 -2.345 4.699
2.345 2.345 -4.699
Ce Hf
3 1
Direct
0.000 0.000 0.000
0.250 0.750 0.500
0.750 0.250 0.500
0.500 0.500 0.000
```

(5)
Compound: GaO2
Source: the Materials Project database
Functional: PBE
Structure: relaxed

Computed properties:
Calculated volume = 128.3 Å³/cell
Formation energy = -1.613 eV per atom
ΔE to the lowest computed polymorph = 0.000 eV/f.u.

Structure (POSCAR):
```
GaO2
1.0
10.022 0.000 0.000
0.000 3.052 0.000
0.000 0.000 4.193
Ga O
4 8
Direct
0.135 0.250 0.078
0.365 0.750 0.578
0.635 0.250 0.422
0.865 0.750 0.922
0.061 0.750 0.805
0.193 0.750 0.348
0.307 0.250 0.848
0.439 0.250 0.305
0.561 0.750 0.695
0.693 0.750 0.152
0.807 0.250 0.652
0.939 0.250 0.195
```

(6)
Compound: Pr6Cu8P8O3
Source: the Materials Project database
Functional: PBE
Structure: relaxed

Computed properties:
Calculated volume = 421.8 Å³/cell
Formation energy = -1.294 eV per atom

Structure (POSCAR):
```
Pr6Cu8P8O3
1.0
2.821 -13.248 0.000
2.821 13.248 0.000
0.000 0.000 5.642
Pr Cu P O
6 8 8 3
Direct
0.000 0.500 0.750
0.186 0.287 0.237
0.287 0.186 0.763
0.500 0.000 0.250
0.713 0.814 0.763
0.814 0.713 0.237
0.155 0.845 0.000
0.155 0.845 0.500
0.344 0.656 0.500
0.345 0.655 0.000
0.655 0.345 0.000
0.656 0.344 0.500
0.845 0.155 0.000
0.845 0.155 0.500
0.043 0.457 0.249
0.147 0.361 0.746
0.361 0.147 0.254
0.457 0.043 0.751
0.543 0.957 0.751
0.639 0.853 0.254
0.853 0.639 0.746
0.957 0.543 0.249
0.000 0.000 0.000
0.000 0.000 0.500
0.500 0.500 0.000
```